# 1
DFT (PBE-GGA) results for a relaxed KI3F16 crystal. Values from VASP.

ΔH_f (0 K): -2.1019 eV/atom
Energy with MP2020 corrections: -3.92 eV per atom
Crystal system: monoclinic
Space-group type: P2_1/c (14)
Mass density: 3.455 g/cm³

Cell and atoms, written as Quantum ESPRESSO input:
```
&SYSTEM
  ibrav = 0, nat = 160, ntyp = 3
/
ATOMIC_SPECIES
K 39.10 K.upf
I 126.90 I.upf
F 19.00 F.upf
CELL_PARAMETERS angstrom
14.023 0.000 0.000
0.000 14.171 0.000
-0.018 0.000 14.006
ATOMIC_POSITIONS angstrom
K 3.462 0.576 0.197
K 3.453 6.509 7.200
K 3.522 7.278 0.262
K 3.513 13.979 7.265
K 10.492 0.192 6.741
K 10.483 6.894 13.745
K 10.551 7.662 6.806
K 10.542 13.595 13.809
I 0.168 3.002 6.644
I 0.159 4.083 13.647
I 0.476 7.700 3.874
I 0.467 13.557 10.877
I 2.992 10.101 10.119
I 3.000 11.156 3.116
I 3.973 3.281 3.766
I 3.964 3.804 10.769
I 6.624 7.688 4.030
I 6.615 13.569 11.033
I 6.823 2.988 7.617
I 6.832 4.097 0.614
I 7.172 10.074 13.392
I 7.181 11.183 6.389
I 7.390 0.603 2.974
I 7.381 6.483 9.977
I 10.041 10.367 3.237
I 10.032 10.890 10.240
I 11.004 3.015 10.890
I 11.013 4.070 3.887
I 13.538 0.614 3.129
I 13.529 6.471 10.132
I 13.846 10.088 0.359
I 13.837 11.169 7.362
F 0.081 10.477 12.548
F 0.089 10.780 5.545
F 0.229 1.247 10.850
F 0.238 5.839 3.847
F 0.607 0.483 4.724
F 0.598 6.602 11.728
F 0.828 9.854 2.658
F 0.819 11.403 9.661
F 1.098 9.729 7.536
F 1.107 11.528 0.533
F 1.163 0.508 2.076
F 1.154 6.578 9.079
F 1.280 8.862 0.016
F 1.271 12.395 7.019
F 1.369 1.663 7.421
F 1.378 5.422 0.418
F 1.495 7.265 5.498
F 1.486 13.992 12.501
F 1.551 2.727 13.868
F 1.560 4.358 6.865
F 2.033 7.231 2.824
F 2.024 14.026 9.827
F 2.122 3.431 3.512
F 2.113 3.655 10.515
F 2.940 9.771 4.466
F 2.931 11.486 11.469
F 2.972 8.781 11.554
F 2.981 12.476 4.551
F 3.368 2.157 5.255
F 3.359 4.929 12.258
F 3.578 9.841 1.821
F 3.569 11.416 8.824
F 3.626 8.713 8.890
F 3.635 12.544 1.887
F 3.644 2.209 11.830
F 3.653 4.877 4.827
F 3.697 1.769 2.596
F 3.688 5.317 9.599
F 3.991 2.653 9.215
F 4.000 4.433 2.212
F 4.814 10.160 10.557
F 4.822 11.097 3.554
F 5.098 7.275 5.189
F 5.089 13.982 12.192
F 5.423 2.910 0.011
F 5.414 4.176 7.014
F 5.449 7.532 2.467
F 5.440 13.725 9.470
F 5.609 8.896 13.365
F 5.618 12.361 6.362
F 5.707 1.469 7.060
F 5.716 5.617 0.057
F 5.882 0.446 4.164
F 5.874 6.640 11.167
F 5.961 9.690 6.399
F 5.952 11.567 13.402
F 6.216 0.187 1.498
F 6.207 6.899 8.501
F 6.270 2.877 2.732
F 6.261 4.209 9.735
F 6.626 1.270 10.848
F 6.635 5.816 3.845
F 6.809 10.097 1.223
F 6.800 11.160 8.226
F 7.205 3.012 5.780
F 7.196 4.074 12.783
F 7.370 8.355 10.162
F 7.379 12.902 3.158
F 7.743 9.962 4.271
F 7.735 11.295 11.274
F 7.798 7.273 5.506
F 7.789 13.984 12.509
F 8.053 2.604 0.604
F 8.044 4.481 7.607
F 8.131 7.531 2.839
F 8.122 13.726 9.843
F 8.289 8.554 13.949
F 8.298 12.703 6.946
F 8.387 1.811 7.644
F 8.396 5.275 0.641
F 8.564 0.446 4.536
F 8.555 6.639 11.540
F 8.590 9.995 6.992
F 8.581 11.262 13.995
F 8.916 0.189 1.814
F 8.907 6.897 8.817
F 9.182 3.074 10.452
F 9.191 4.012 3.449
F 10.005 9.739 11.794
F 10.013 11.518 4.791
F 10.317 8.855 4.407
F 10.308 12.402 11.410
F 10.352 9.295 9.179
F 10.361 11.962 2.176
F 10.370 1.627 12.120
F 10.379 5.458 5.116
F 10.436 2.755 5.183
F 10.427 4.330 12.186
F 10.645 9.243 1.748
F 10.636 12.014 8.751
F 11.024 1.695 9.455
F 11.033 5.390 2.452
F 11.073 2.686 2.537
F 11.065 4.400 9.540
F 11.891 10.517 3.491
F 11.883 10.740 10.494
F 11.980 0.146 4.179
F 11.972 6.940 11.182
F 12.445 9.813 7.141
F 12.454 11.444 0.138
F 12.519 0.179 1.505
F 12.510 6.906 8.508
F 12.627 8.749 13.588
F 12.636 12.508 6.585
F 12.733 1.777 6.987
F 12.724 5.309 13.990
F 12.851 7.593 4.928
F 12.842 13.663 11.931
F 12.898 2.643 13.473
F 12.907 4.442 6.470
F 13.186 2.768 4.346
F 13.177 4.317 11.349
F 13.407 7.569 2.279
F 13.398 13.688 9.282
F 13.767 8.333 10.160
F 13.776 12.924 3.156
F 13.915 3.391 8.461
F 13.924 3.695 1.458
```

# 2
DFT (PBE-GGA) results for a relaxed KIO2F2 crystal. Values from VASP.

ΔH_f (0 K): -1.8248 eV/atom
Energy with MP2020 corrections: -4.55 eV per atom
Crystal system: orthorhombic
Space-group type: Pca2_1 (29)
Mass density: 3.393 g/cm³

Cell and atoms, written as Quantum ESPRESSO input:
```
&SYSTEM
  ibrav = 0, nat = 24, ntyp = 4
/
ATOMIC_SPECIES
K 39.10 K.upf
I 126.90 I.upf
O 16.00 O.upf
F 19.00 F.upf
CELL_PARAMETERS angstrom
8.809 0.000 0.000
0.000 6.006 0.000
0.000 0.000 8.732
ATOMIC_POSITIONS angstrom
K 1.913 0.106 0.000
K 2.492 0.106 4.366
K 6.318 5.899 0.000
K 6.896 5.899 4.366
I 0.155 2.723 6.662
I 4.250 2.723 2.296
I 4.560 3.283 6.662
I 8.654 3.283 2.296
O 0.097 2.945 8.460
O 1.766 1.933 6.459
O 2.639 1.933 2.093
O 4.308 2.945 4.094
O 4.502 3.061 8.460
O 6.170 4.073 6.459
O 7.044 4.073 2.093
O 8.712 3.061 4.094
F 0.698 5.175 2.474
F 0.957 4.565 6.439
F 3.448 4.565 2.073
F 3.707 5.175 6.840
F 5.102 0.831 2.474
F 5.361 1.440 6.439
F 7.853 1.440 2.073
F 8.112 0.831 6.840
```

# 3
DFT (PBE-GGA) results for a relaxed KIO2F2 crystal. Values from VASP.

ΔH_f (0 K): -1.8638 eV/atom
Energy with MP2020 corrections: -4.59 eV per atom
Crystal system: orthorhombic
Space-group type: Pca2_1 (29)
Mass density: 3.508 g/cm³

Cell and atoms, written as Quantum ESPRESSO input:
```
&SYSTEM
  ibrav = 0, nat = 24, ntyp = 4
/
ATOMIC_SPECIES
K 39.10 K.upf
I 126.90 I.upf
O 16.00 O.upf
F 19.00 F.upf
CELL_PARAMETERS angstrom
8.513 0.000 0.000
0.000 6.128 0.000
0.000 0.000 8.564
ATOMIC_POSITIONS angstrom
K 1.815 0.196 0.000
K 2.441 0.196 4.282
K 6.071 5.932 0.000
K 6.698 5.932 4.282
I 0.031 2.674 6.135
I 4.225 2.674 1.853
I 4.288 3.455 6.135
I 8.481 3.455 1.853
O 0.292 3.982 0.158
O 1.730 2.095 6.362
O 2.526 2.095 2.080
O 3.965 3.982 4.440
O 4.548 2.146 0.158
O 5.986 4.034 6.362
O 6.783 4.034 2.080
O 8.221 2.146 4.440
F 0.626 4.511 5.492
F 0.665 5.280 2.535
F 3.592 5.280 6.818
F 3.630 4.511 1.210
F 4.883 1.618 5.492
F 4.921 0.849 2.535
F 7.848 0.849 6.818
F 7.886 1.618 1.210
```

# 4
DFT (PBE-GGA) results for a relaxed I2O3F6 crystal. Values from VASP.

ΔH_f (0 K): -1.4584 eV/atom
Energy with MP2020 corrections: -4.13 eV per atom
Crystal system: monoclinic
Space-group type: P2_1/c (14)
Mass density: 3.649 g/cm³

Cell and atoms, written as Quantum ESPRESSO input:
```
&SYSTEM
  ibrav = 0, nat = 44, ntyp = 3
/
ATOMIC_SPECIES
I 126.90 I.upf
O 16.00 O.upf
F 19.00 F.upf
CELL_PARAMETERS angstrom
10.085 0.000 0.000
0.000 8.746 0.000
-4.268 0.000 8.582
ATOMIC_POSITIONS angstrom
I -1.081 1.980 3.615
I -3.215 2.393 7.906
I 2.468 5.233 1.414
I 0.334 7.886 5.705
I 5.483 0.860 2.877
I 3.349 3.513 7.168
I 9.032 6.353 0.676
I 6.898 6.766 4.967
O -1.950 1.948 5.142
O 0.184 2.425 0.850
O 0.686 5.409 1.798
O -1.448 7.710 6.089
O 0.196 0.131 4.180
O -1.938 4.242 8.472
O 7.755 4.504 0.111
O 5.621 8.615 4.402
O 7.264 1.036 2.493
O 5.131 3.337 6.784
O 5.633 6.321 7.732
O 7.767 6.798 3.441
F -2.465 5.111 5.592
F -0.331 8.008 1.301
F -1.746 1.367 8.548
F 0.388 3.006 4.257
F 0.439 6.265 4.768
F 2.573 6.854 0.477
F 0.512 0.624 6.837
F 2.645 3.749 2.546
F 2.870 6.258 2.934
F 0.736 6.861 7.225
F 4.337 5.175 1.255
F 2.203 7.944 5.546
F 3.614 0.802 3.036
F 1.480 3.571 7.327
F 5.081 1.885 1.357
F 2.947 2.488 5.648
F 3.171 4.997 6.037
F 5.305 8.122 1.746
F 3.244 1.892 8.105
F 5.378 2.481 3.814
F 5.429 5.740 4.326
F 7.562 7.379 0.034
F 6.148 0.738 7.281
F 8.282 3.635 2.990
```

# 5
DFT (PBE-GGA) results for a relaxed PbIF crystal. Values from VASP.

ΔH_f (0 K): -1.6533 eV/atom
Energy with MP2020 corrections: -4.04 eV per atom
Crystal system: tetragonal
Space-group type: P4/nmm (129)
Mass density: 6.909 g/cm³

Cell and atoms, written as Quantum ESPRESSO input:
```
&SYSTEM
  ibrav = 0, nat = 6, ntyp = 3
/
ATOMIC_SPECIES
Pb 207.20 Pb.upf
I 126.90 I.upf
F 19.00 F.upf
CELL_PARAMETERS angstrom
4.236 0.000 0.000
0.000 4.236 0.000
0.000 0.000 9.460
ATOMIC_POSITIONS angstrom
Pb 1.059 1.059 1.488
Pb 3.177 3.177 7.972
I 1.059 1.059 6.355
I 3.177 3.177 3.104
F 1.059 3.177 0.000
F 3.177 1.059 0.000
```

# 6
DFT (PBE-GGA) results for a relaxed SbS7IF6 crystal. Values from VASP.

ΔH_f (0 K): -1.2529 eV/atom
Energy with MP2020 corrections: -4.33 eV per atom
Crystal system: orthorhombic
Space-group type: P2_12_12_1 (19)
Mass density: 2.650 g/cm³

Cell and atoms, written as Quantum ESPRESSO input:
```
&SYSTEM
  ibrav = 0, nat = 60, ntyp = 4
/
ATOMIC_SPECIES
Sb 121.76 Sb.upf
S 32.06 S.upf
I 126.90 I.upf
F 19.00 F.upf
CELL_PARAMETERS angstrom
9.422 0.000 0.000
0.000 12.226 0.000
0.000 0.000 12.774
ATOMIC_POSITIONS angstrom
Sb 1.686 1.884 1.457
Sb 3.025 10.343 7.844
Sb 6.397 4.229 11.316
Sb 7.736 7.997 4.930
S 0.411 5.392 8.675
S 0.881 2.230 7.881
S 1.450 4.637 10.078
S 1.731 2.465 9.629
S 1.814 4.421 5.554
S 2.048 6.038 6.907
S 2.292 9.488 0.048
S 2.419 2.739 6.434
S 2.663 6.189 0.520
S 2.898 7.805 11.941
S 2.981 9.762 3.242
S 3.261 7.590 3.691
S 3.831 9.996 1.494
S 4.300 6.834 2.288
S 5.122 0.721 4.099
S 5.592 3.883 4.893
S 6.161 1.477 2.695
S 6.442 3.648 3.145
S 6.525 1.692 7.220
S 6.759 0.075 5.867
S 7.003 8.852 12.726
S 7.130 3.374 6.339
S 7.374 12.151 12.254
S 7.609 10.534 0.833
S 7.692 8.578 9.532
S 7.972 10.750 9.082
S 8.542 8.343 11.280
S 9.011 11.505 10.486
I 0.671 6.509 1.735
I 4.040 5.718 8.122
I 5.382 11.831 11.038
I 8.752 0.395 4.652
F 0.017 2.608 2.064
F 0.734 0.506 0.493
F 1.372 11.123 7.282
F 1.656 3.027 12.689
F 1.677 0.734 3.032
F 2.075 9.004 8.845
F 2.636 3.223 2.458
F 3.034 11.493 9.419
F 3.055 9.200 6.303
F 3.339 1.104 0.896
F 3.977 11.720 6.880
F 4.694 9.619 8.451
F 4.728 3.505 10.710
F 5.446 5.607 12.280
F 6.083 7.217 5.491
F 6.367 3.087 0.084
F 6.388 5.380 9.741
F 6.787 9.336 3.929
F 7.347 2.891 10.316
F 7.746 6.847 3.354
F 7.766 9.140 6.471
F 8.050 5.010 11.878
F 8.688 6.619 5.893
F 9.405 8.721 4.323
```

# 7
DFT (PBE-GGA) results for a relaxed SbIF10 crystal. Values from VASP.

ΔH_f (0 K): -2.2745 eV/atom
Energy with MP2020 corrections: -4.34 eV per atom
Crystal system: orthorhombic
Space-group type: Ibca (73)
Mass density: 3.852 g/cm³

Cell and atoms, written as Quantum ESPRESSO input:
```
&SYSTEM
  ibrav = 0, nat = 48, ntyp = 3
/
ATOMIC_SPECIES
Sb 121.76 Sb.upf
I 126.90 I.upf
F 19.00 F.upf
CELL_PARAMETERS angstrom
-4.193 4.225 10.673
4.193 -4.225 10.673
4.193 4.225 -10.673
ATOMIC_POSITIONS angstrom
Sb 4.193 2.113 -1.836
Sb 0.000 2.113 1.836
Sb 4.193 2.113 8.837
Sb 0.000 2.113 12.509
I 4.193 -2.113 7.481
I 4.193 2.113 3.192
I 0.000 2.113 7.481
I 0.000 6.338 3.192
F 4.558 -0.212 1.815
F 5.211 3.110 -6.305
F 4.193 2.113 -3.732
F 2.910 3.423 -6.990
F 0.365 0.212 1.815
F 6.098 1.750 -1.823
F 5.211 -1.115 6.305
F 2.289 2.475 -1.823
F 2.910 -0.802 6.990
F 4.193 -2.113 10.609
F 4.193 2.113 0.064
F 2.910 0.802 3.683
F 6.482 1.750 1.823
F 5.211 1.115 4.369
F 1.904 2.475 1.823
F 0.365 -0.212 8.858
F 2.910 5.028 -3.683
F 0.000 2.113 3.732
F 1.018 1.115 6.305
F 4.558 0.212 8.858
F -0.365 4.013 1.815
F 3.175 3.110 4.369
F 4.193 2.113 6.941
F 1.283 -0.802 14.356
F 3.828 4.437 1.815
F 2.289 1.750 8.851
F -1.018 3.110 6.305
F -2.289 2.475 8.851
F 1.283 3.423 6.990
F 0.000 2.113 10.609
F 0.000 6.338 0.064
F 1.283 5.028 3.683
F 1.904 1.750 12.496
F -1.018 5.340 4.369
F -1.904 2.475 12.496
F 3.828 4.013 8.858
F 1.283 0.802 17.664
F 0.000 2.113 14.406
F -1.018 1.115 16.978
F -0.365 4.437 8.858
```

# 8
DFT (PBE-GGA) results for a relaxed SbI5F6 crystal. Values from VASP.

ΔH_f (0 K): -1.5617 eV/atom
Energy with MP2020 corrections: -3.50 eV per atom
Crystal system: triclinic
Space-group type: P-1 (2)
Mass density: 3.948 g/cm³

Cell and atoms, written as Quantum ESPRESSO input:
```
&SYSTEM
  ibrav = 0, nat = 36, ntyp = 3
/
ATOMIC_SPECIES
Sb 121.76 Sb.upf
I 126.90 I.upf
F 19.00 F.upf
CELL_PARAMETERS angstrom
8.691 0.000 0.000
-3.274 8.235 0.000
-0.717 -3.698 15.344
ATOMIC_POSITIONS angstrom
Sb 0.000 0.000 0.000
Sb 3.478 -0.099 5.322
Sb 1.221 4.636 10.022
I -0.359 -1.849 7.672
I -0.849 1.843 3.994
I 0.073 -0.688 11.730
I -0.557 2.901 6.459
I 0.094 4.192 2.502
I 1.248 -0.076 9.328
I 0.395 1.425 13.926
I 1.114 6.468 1.028
I 3.585 -1.931 14.317
I 4.304 3.112 1.419
I 3.451 4.613 6.016
I 4.605 0.345 12.842
I 5.257 1.636 8.886
I 4.626 5.225 3.614
I 5.548 2.694 11.350
F -0.969 -2.116 14.270
F -2.801 3.825 13.992
F 1.488 0.829 0.870
F 1.935 -0.667 4.347
F -0.324 4.026 9.013
F 2.357 0.466 6.809
F 0.045 5.149 11.461
F 0.376 6.404 6.105
F 1.379 2.875 10.767
F 3.320 1.662 4.577
F 4.323 -1.867 9.239
F 4.654 -0.612 3.884
F 2.342 4.071 8.536
F 5.023 0.511 6.331
F 2.764 5.204 10.997
F 3.212 3.708 14.474
F 7.500 0.712 1.353
F 5.668 6.653 1.074
```